Density functional theory data (GGA-PBE) for Ca2Al2SiO8 after structural relaxation.

Values from the calculation:
As for the formation energy: -3.093 eV/atom. The total energy comes out at -182.45 eV for the cell shown.

Unit cell a=7.7194 b=7.7194 c=7.7194 alpha=109.09 beta=109.09 gamma=110.24
Positions (direct):
Ca 0.1950 0.1950 0.6953
Ca 0.4997 0.4997 0.3047
Ca 0.5003 0.8050 0.0000
Ca 0.8050 0.5003 0.0000
Al 0.0000 0.2520 0.2520
Al 0.0000 0.7480 0.7480
Al 0.2520 0.0000 0.2520
Al 0.7480 0.0000 0.7480
Si 0.2500 0.7500 0.5000
Si 0.7500 0.2500 0.5000
O 0.0689 0.5143 0.2930
O 0.0709 0.7772 0.0000
O 0.2213 0.7759 0.7070
O 0.2228 0.2228 0.2937
O 0.2241 0.9311 0.4454
O 0.2973 0.4926 0.0000
O 0.4857 0.7787 0.5546
O 0.4926 0.2973 0.0000
O 0.5074 0.5074 0.8047
O 0.5143 0.0689 0.2930
O 0.7027 0.7027 0.1953
O 0.7759 0.2213 0.7070
O 0.7772 0.0709 0.0000
O 0.7787 0.4857 0.5546
O 0.9291 0.9291 0.7063
O 0.9311 0.2241 0.4454